1.
Density functional theory data (meta-GGA r2SCAN) for RbBiF6 after structural relaxation.

Cell: 5.1351 5.1351 5.1351 Å, 96.82 96.82 96.82°
With the nearest neighbours (Å) after each atom.
Positions (direct):
1 Rb 0.5000 0.5000 0.5000  12 F 2.94-3.12
2 Bi 0.0000 0.0000 0.0000  6 F 2.02
3 F 0.2082 0.9251 0.3368  1 Bi 2.02
4 F 0.9251 0.3368 0.2082  1 Bi 2.02
5 F 0.6632 0.7918 0.0749  1 Bi 2.02
6 F 0.0749 0.6632 0.7918  1 Bi 2.02
7 F 0.7918 0.0749 0.6632  1 Bi 2.02
8 F 0.3368 0.2082 0.9251  1 Bi 2.02

* energy of formation from the pure elements: -226 kJ/mol of atoms
* ρ: 5.13 Mg/m³
* symmetry: R-3
* uncorrected energy: -109.945 eV per cell

=====

2.
Density functional theory data (meta-GGA r2SCAN) for Rb2BiF5 after structural relaxation.

Cell: 6.3100 8.1981 12.5684 Å, 90.00 90.00 90.00°
With the nearest neighbours (Å) after each atom.
Positions (direct):
1 Rb 0.7500 0.5016 0.2669  4 F 2.73-2.79
2 Rb 0.2500 0.4984 0.7331  4 F 2.73-2.79
3 Rb 0.2500 0.9984 0.7669  4 F 2.73-2.79
4 Rb 0.7500 0.0016 0.2331  4 F 2.73-2.79
5 Rb 0.7500 0.8363 0.5839  5 F 2.76-3.02
6 Rb 0.2500 0.1637 0.4161  5 F 2.76-3.02
7 Rb 0.2500 0.6637 0.0839  5 F 2.76-3.02
8 Rb 0.7500 0.3363 0.9161  5 F 2.76-3.02
9 Bi 0.7500 0.8145 0.9350  6 F 2.20-2.34
10 Bi 0.2500 0.1855 0.0650  6 F 2.20-2.34
11 Bi 0.2500 0.6855 0.4350  6 F 2.20-2.34
12 Bi 0.7500 0.3145 0.5650  6 F 2.20-2.34
13 F 0.7500 0.7239 0.1051  1 Bi 2.26
14 F 0.2500 0.2761 0.8949  1 Bi 2.26
15 F 0.2500 0.7761 0.6051  1 Bi 2.26
16 F 0.7500 0.2239 0.3949  1 Bi 2.26
17 F 0.0073 0.6453 0.8924  1 Bi 2.20
18 F 0.9927 0.3547 0.1076  1 Bi 2.20
19 F 0.9927 0.8547 0.3924  1 Bi 2.20
20 F 0.5073 0.3547 0.1076  1 Bi 2.20
21 F 0.0073 0.1453 0.6076  1 Bi 2.20
22 F 0.4927 0.6453 0.8924  1 Bi 2.20
23 F 0.4927 0.1453 0.6076  1 Bi 2.20
24 F 0.5073 0.8547 0.3924  1 Bi 2.20
25 F 0.0000 0.0000 0.0000  2 Bi 2.34
26 F 0.0000 0.5000 0.5000  2 Bi 2.34
27 F 0.5000 0.0000 0.0000  2 Bi 2.34
28 F 0.5000 0.5000 0.5000  2 Bi 2.34
29 F 0.7500 0.9650 0.7868  1 Bi 2.23
30 F 0.2500 0.0350 0.2132  1 Bi 2.23
31 F 0.2500 0.5350 0.2868  1 Bi 2.23
32 F 0.7500 0.4650 0.7132  1 Bi 2.23

* energy of formation from the pure elements: -267 kJ/mol of atoms
* ρ: 4.85 Mg/m³
* symmetry: Pnma
* uncorrected energy: -496.625 eV per cell

=====

3.
Density functional theory data (meta-GGA r2SCAN) for Rb3BiF6 after structural relaxation.

Cell: 6.8696 6.8696 6.8696 Å, 60.00 60.00 60.00°
With the nearest neighbours (Å) after each atom.
Positions (direct):
1 Rb 0.7500 0.7500 0.7500  12 F 3.44
2 Rb 0.2500 0.2500 0.2500  12 F 3.44
3 Rb 0.5000 0.5000 0.5000  6 F 2.61
4 Bi 0.0000 0.0000 0.0000  6 F 2.24
5 F 0.7689 0.2311 0.2311  1 Bi 2.24
6 F 0.2311 0.2311 0.7689  1 Bi 2.24
7 F 0.2311 0.7689 0.7689  1 Bi 2.24
8 F 0.2311 0.7689 0.2311  1 Bi 2.24
9 F 0.7689 0.2311 0.7689  1 Bi 2.24
10 F 0.7689 0.7689 0.2311  1 Bi 2.24

* energy of formation from the pure elements: -265 kJ/mol of atoms
* ρ: 4.20 Mg/m³
* symmetry: Fm-3m
* uncorrected energy: -146.549 eV per cell

=====

4.
Density functional theory data (meta-GGA r2SCAN) for TlBi3F10 after structural relaxation.

Cell: 8.4844 8.4844 8.4844 Å, 60.00 60.00 60.00°
With the nearest neighbours (Å) after each atom.
Positions (direct):
1 Tl 0.2500 0.2500 0.2500  4 F 2.84
2 Tl 0.7500 0.7500 0.7500  4 F 2.84
3 Bi 0.7593 0.2407 0.2407  8 F 2.28-2.46
4 Bi 0.2407 0.7593 0.7593  8 F 2.28-2.46
5 Bi 0.2407 0.7593 0.2407  8 F 2.28-2.46
6 Bi 0.7593 0.2407 0.7593  8 F 2.28-2.46
7 Bi 0.2407 0.2407 0.7593  8 F 2.28-2.46
8 Bi 0.7593 0.7593 0.2407  8 F 2.28-2.46
9 F 0.8289 0.5000 0.5000  2 Bi 2.28
10 F 0.1711 0.5000 0.5000  2 Bi 2.28
11 F 0.5000 0.8289 0.1711  2 Bi 2.28
12 F 0.5000 0.1711 0.8289  2 Bi 2.28
13 F 0.5000 0.8289 0.5000  2 Bi 2.28
14 F 0.1711 0.5000 0.8289  2 Bi 2.28
15 F 0.5000 0.1711 0.5000  2 Bi 2.28
16 F 0.8289 0.5000 0.1711  2 Bi 2.28
17 F 0.5000 0.5000 0.8289  2 Bi 2.28
18 F 0.5000 0.5000 0.1711  2 Bi 2.28
19 F 0.1711 0.8289 0.5000  2 Bi 2.28
20 F 0.8289 0.1711 0.5000  2 Bi 2.28
21 F 0.1133 0.1133 0.1133  3 Bi 2.46, 3 F 2.72
22 F 0.8867 0.8867 0.8867  3 Bi 2.46, 3 F 2.72
23 F 0.1133 0.1133 0.6601  3 Bi 2.46, 3 F 2.72
24 F 0.1133 0.6601 0.1133  3 Bi 2.46, 3 F 2.72
25 F 0.8867 0.8867 0.3399  3 Bi 2.46, 3 F 2.72
26 F 0.8867 0.3399 0.8867  3 Bi 2.46, 3 F 2.72
27 F 0.6601 0.1133 0.1133  3 Bi 2.46, 3 F 2.72
28 F 0.3399 0.8867 0.8867  3 Bi 2.46, 3 F 2.72

* energy of formation from the pure elements: -244 kJ/mol of atoms
* ρ: 7.85 Mg/m³
* symmetry: Fm-3m
* uncorrected energy: -590.724 eV per cell

=====

5.
Density functional theory data (meta-GGA r2SCAN) for BiXeF9 after structural relaxation.

Cell: 5.7157 7.7024 8.5129 Å, 101.08 109.40 86.66°
With the nearest neighbours (Å) after each atom.
Positions (direct):
1 Bi 0.7866 0.6557 0.7466  6 F 2.00-2.19
2 Bi 0.2134 0.3443 0.2534  6 F 2.00-2.19
3 Xe 0.7043 0.8323 0.2185  3 F 1.95-2.00
4 Xe 0.2957 0.1677 0.7815  3 F 1.95-2.00
5 F 0.1207 0.5443 0.8295  1 Bi 2.01
6 F 0.3704 0.8730 0.0559  1 Xe 2.00
7 F 0.4438 0.1200 0.6015  1 Xe 1.95
8 F 0.2673 0.4492 0.4967  1 Bi 2.00
9 F 0.8656 0.7802 0.0131  1 Bi 2.19, 1 Xe 2.20
10 F 0.9714 0.2004 0.6063  1 Xe 1.99
11 F 0.4639 0.7859 0.7121  1 Bi 2.01
12 F 0.9466 0.8773 0.7385  1 Bi 2.01
13 F 0.5361 0.2141 0.2879  1 Bi 2.01
14 F 0.5562 0.8800 0.3985  1 Xe 1.95
15 F 0.3559 0.5401 0.1870  1 Bi 2.01
16 F 0.7327 0.5508 0.5033  1 Bi 2.00
17 F 0.1344 0.2198 0.9869  1 Bi 2.19, 1 Xe 2.20
18 F 0.8793 0.4557 0.1705  1 Bi 2.01
19 F 0.0286 0.7996 0.3937  1 Xe 1.99
20 F 0.0534 0.1227 0.2615  1 Bi 2.01
21 F 0.6441 0.4599 0.8130  1 Bi 2.01
22 F 0.6296 0.1270 0.9441  1 Xe 2.00

* energy of formation from the pure elements: -118 kJ/mol of atoms
* ρ: 4.89 Mg/m³
* symmetry: P-1
* uncorrected energy: -248.059 eV per cell

=====

6.
Density functional theory data (meta-GGA r2SCAN) for BiXeF7 after structural relaxation.

Cell: 9.9010 5.1425 12.5304 Å, 88.82 90.00 90.00°
With the nearest neighbours (Å) after each atom.
Positions (direct):
1 Bi 0.0166 0.6112 0.7199  6 F 2.00-2.16
2 Bi 0.5166 0.3888 0.7801  6 F 2.00-2.16
3 Bi 0.9834 0.3888 0.2801  6 F 2.00-2.16
4 Bi 0.4834 0.6112 0.2199  6 F 2.00-2.16
5 Xe 0.7339 0.0092 0.5224  2 F 1.98-2.21
6 Xe 0.2339 0.9908 0.9776  2 F 1.98-2.21
7 Xe 0.2661 0.9908 0.4776  2 F 1.98-2.21
8 Xe 0.7661 0.0092 0.0224  2 F 1.98-2.21
9 F 0.9084 0.7913 0.5879  1 Bi 2.16, 1 Xe 2.21
10 F 0.4084 0.2087 0.9121  1 Bi 2.16, 1 Xe 2.21
11 F 0.0916 0.2087 0.4121  1 Bi 2.16, 1 Xe 2.21
12 F 0.5916 0.7913 0.0879  1 Bi 2.16, 1 Xe 2.21
13 F 0.1236 0.9432 0.7208  1 Bi 2.01
14 F 0.6236 0.0568 0.7792  1 Bi 2.01
15 F 0.8764 0.0568 0.2792  1 Bi 2.01
16 F 0.3764 0.9432 0.2208  1 Bi 2.01
17 F 0.5836 0.2132 0.4580  1 Xe 1.98
18 F 0.0836 0.7868 0.0420  1 Xe 1.98
19 F 0.4164 0.7868 0.5420  1 Xe 1.98
20 F 0.9164 0.2132 0.9580  1 Xe 1.98
21 F 0.1364 0.4878 0.6018  1 Bi 2.01
22 F 0.6364 0.5122 0.8982  1 Bi 2.01
23 F 0.8636 0.5122 0.3982  1 Bi 2.01
24 F 0.3636 0.4878 0.1018  1 Bi 2.01
25 F 0.1275 0.4606 0.8405  1 Bi 2.01
26 F 0.6275 0.5394 0.6595  1 Bi 2.01
27 F 0.8725 0.5394 0.1595  1 Bi 2.01
28 F 0.3725 0.4606 0.3405  1 Bi 2.01
29 F 0.8797 0.7668 0.8173  1 Bi 2.00
30 F 0.3797 0.2332 0.6827  1 Bi 2.00
31 F 0.1203 0.2332 0.1827  1 Bi 2.00
32 F 0.6203 0.7668 0.3173  1 Bi 2.00
33 F 0.8967 0.3019 0.7008  1 Bi 2.00
34 F 0.3967 0.6981 0.7992  1 Bi 2.00
35 F 0.1033 0.6981 0.2992  1 Bi 2.00
36 F 0.6033 0.3019 0.2008  1 Bi 2.00

* energy of formation from the pure elements: -137 kJ/mol of atoms
* ρ: 4.93 Mg/m³
* symmetry: P2_1/c
* uncorrected energy: -468.111 eV per cell

=====

7.
Density functional theory data (meta-GGA r2SCAN) for ZnBiF6 after structural relaxation.

Cell: 5.7502 5.7502 5.7502 Å, 57.58 57.58 57.58°
With the nearest neighbours (Å) after each atom.
Positions (direct):
1 Zn 0.5000 0.5000 0.5000  6 F 1.99
2 Bi 0.0000 0.0000 0.0000  6 F 2.15
3 F 0.6414 0.8373 0.2607  1 Zn 1.99, 1 Bi 2.15
4 F 0.8373 0.2607 0.6414  1 Zn 1.99, 1 Bi 2.15
5 F 0.7393 0.3586 0.1627  1 Zn 1.99, 1 Bi 2.15
6 F 0.1627 0.7393 0.3586  1 Zn 1.99, 1 Bi 2.15
7 F 0.3586 0.1627 0.7393  1 Zn 1.99, 1 Bi 2.15
8 F 0.2607 0.6414 0.8373  1 Zn 1.99, 1 Bi 2.15

* energy of formation from the pure elements: -221 kJ/mol of atoms
* ρ: 5.08 Mg/m³
* symmetry: R-3
* uncorrected energy: -104.514 eV per cell

=====

8.
Density functional theory data (meta-GGA r2SCAN) for Ti4FeBi2 after structural relaxation.

Cell: 4.8743 7.8722 7.8719 Å, 84.49 71.96 71.96°
With the nearest neighbours (Å) after each atom.
Positions (direct):
1 Ti 0.5797 0.7259 0.1146  2 Fe 2.55
2 Ti 0.9196 0.8856 0.2753  2 Fe 2.53
3 Ti 0.3057 0.1145 0.2743  2 Fe 2.55
4 Ti 0.8053 0.2752 0.1143  2 Fe 2.53
5 Ti 0.6943 0.8855 0.7257  2 Fe 2.55
6 Ti 0.0804 0.1144 0.7247  2 Fe 2.53
7 Ti 0.4203 0.2741 0.8854  2 Fe 2.55
8 Ti 0.1947 0.7248 0.8857  2 Fe 2.53
9 Fe 0.2451 0.0001 0.9999  2 Fe 2.39-2.48, 8 Ti 2.53-2.55
10 Fe 0.7549 0.9999 0.0001  2 Fe 2.39-2.48, 8 Ti 2.53-2.55
11 Bi 0.3592 0.7821 0.4995  8 Ti 2.91-3.07
12 Bi 0.1414 0.4994 0.2178  8 Ti 2.91-3.07
13 Bi 0.6408 0.2179 0.5005  8 Ti 2.91-3.07
14 Bi 0.8586 0.5006 0.7822  8 Ti 2.91-3.07

* energy of formation from the pure elements: -25 kJ/mol of atoms
* ρ: 8.09 Mg/m³
* symmetry: I4/m
* uncorrected energy: -369.978 eV per cell